Material: CaH16C4N8Cl2O4
Method: DFT, PBE
State: optimized geometry

abc: 9.143 13.622 9.181
angles: 90.00 113.55 90.00
Sites, in units of the cell vectors:
Ca 0.000 0.000 0.000
Ca 0.000 0.500 0.500
H 0.013 0.149 0.748
H 0.013 0.351 0.248
H 0.073 0.722 0.997
H 0.073 0.778 0.497
H 0.131 0.156 0.934
H 0.131 0.344 0.434
H 0.232 0.116 0.376
H 0.232 0.384 0.876
H 0.358 0.569 0.541
H 0.358 0.931 0.041
H 0.457 0.217 0.510
H 0.457 0.283 0.010
H 0.471 0.002 0.520
H 0.471 0.498 0.020
H 0.480 0.213 0.859
H 0.480 0.287 0.359
H 0.520 0.713 0.641
H 0.520 0.787 0.141
H 0.529 0.502 0.980
H 0.529 0.998 0.480
H 0.543 0.717 0.990
H 0.543 0.783 0.490
H 0.642 0.069 0.959
H 0.642 0.431 0.459
H 0.768 0.616 0.124
H 0.768 0.884 0.624
H 0.869 0.656 0.566
H 0.869 0.844 0.066
H 0.927 0.222 0.503
H 0.927 0.278 0.003
H 0.987 0.649 0.752
H 0.987 0.851 0.252
C 0.110 0.156 0.502
C 0.110 0.344 0.002
C 0.278 0.621 0.452
C 0.278 0.879 0.952
C 0.722 0.121 0.048
C 0.722 0.379 0.548
C 0.890 0.656 0.998
C 0.890 0.844 0.498
N 0.001 0.164 0.549
N 0.001 0.336 0.049
N 0.232 0.148 0.478
N 0.232 0.352 0.978
N 0.342 0.703 0.414
N 0.342 0.797 0.914
N 0.481 0.731 0.523
N 0.481 0.769 0.023
N 0.519 0.231 0.977
N 0.519 0.269 0.477
N 0.658 0.203 0.086
N 0.658 0.297 0.586
N 0.768 0.648 0.022
N 0.768 0.852 0.522
N 0.999 0.664 0.951
N 0.999 0.836 0.451
Cl 0.289 0.088 0.171
Cl 0.289 0.412 0.671
Cl 0.711 0.588 0.329
Cl 0.711 0.912 0.829
O 0.020 0.142 0.859
O 0.020 0.358 0.359
O 0.132 0.601 0.384
O 0.132 0.899 0.884
O 0.868 0.101 0.116
O 0.868 0.399 0.616
O 0.980 0.642 0.641
O 0.980 0.858 0.141

## Properties
DFT formation energy   -46.13 kJ per mole of atoms
SG   P2_1/c
Offset from the most stable computed form   303 meV per atom
Calculated volume   14.97 Å³ per atom

Material: CaH2CClO3
Method: DFT, PBE
State: optimized geometry

abc: 6.188 6.188 7.102
angles: 121.38 121.38 74.60
Sites, in units of the cell vectors:
Ca 0.137 0.137 0.391
Ca 0.863 0.863 0.609
H 0.177 0.641 0.970
H 0.359 0.823 0.030
H 0.641 0.177 0.970
H 0.823 0.359 0.030
C 0.396 0.604 0.500
C 0.604 0.396 0.500
Cl 0.238 0.238 0.870
Cl 0.762 0.762 0.130
O 0.186 0.814 0.000
O 0.209 0.568 0.507
O 0.432 0.791 0.493
O 0.568 0.209 0.507
O 0.791 0.432 0.493
O 0.814 0.186 0.000

## Properties
DFT formation energy   -185.21 kJ per mole of atoms
SG   C2/m
Calculated volume   12.39 Å³ per atom

Material: CaH6C6Cl2O8
Method: DFT, PBE
State: optimized geometry

abc: 10.189 10.189 6.583
angles: 97.44 97.44 113.86
Sites, in units of the cell vectors:
Ca 0.193 0.193 0.135
Ca 0.807 0.807 0.865
H 0.014 0.923 0.291
H 0.077 0.986 0.709
H 0.096 0.793 0.558
H 0.207 0.904 0.442
H 0.235 0.325 0.607
H 0.325 0.235 0.607
H 0.675 0.765 0.393
H 0.765 0.675 0.393
H 0.793 0.096 0.558
H 0.904 0.207 0.442
H 0.923 0.014 0.291
H 0.986 0.077 0.709
C 0.005 0.390 0.118
C 0.091 0.544 0.847
C 0.099 0.435 0.953
C 0.390 0.005 0.118
C 0.435 0.099 0.953
C 0.456 0.909 0.153
C 0.544 0.091 0.847
C 0.565 0.901 0.047
C 0.610 0.995 0.882
C 0.901 0.565 0.047
C 0.909 0.456 0.153
C 0.995 0.610 0.882
Cl 0.201 0.597 0.668
Cl 0.403 0.799 0.332
Cl 0.597 0.201 0.668
Cl 0.799 0.403 0.332
O 0.019 0.295 0.213
O 0.026 0.026 0.800
O 0.118 0.882 0.500
O 0.178 0.368 0.920
O 0.252 0.252 0.516
O 0.295 0.019 0.213
O 0.368 0.178 0.920
O 0.416 0.416 0.250
O 0.584 0.584 0.750
O 0.632 0.822 0.080
O 0.705 0.981 0.787
O 0.748 0.748 0.484
O 0.822 0.632 0.080
O 0.882 0.118 0.500
O 0.974 0.974 0.200
O 0.981 0.705 0.787

## Properties
DFT formation energy   -98.12 kJ per mole of atoms
SG   C2/m
Calculated volume   13.20 Å³ per atom

Material: CaCuH4C4O8
Method: DFT, PBE
State: optimized geometry

abc: 7.497 8.581 6.671
angles: 90.00 99.48 90.00
Sites, in units of the cell vectors:
Ca 0.000 0.136 0.250
Ca 0.000 0.864 0.750
Cu 0.500 0.401 0.250
Cu 0.500 0.599 0.750
H 0.164 0.438 0.766
H 0.164 0.562 0.266
H 0.414 0.151 0.911
H 0.414 0.849 0.411
H 0.586 0.151 0.589
H 0.586 0.849 0.089
H 0.836 0.438 0.734
H 0.836 0.562 0.234
C 0.200 0.397 0.620
C 0.200 0.603 0.120
C 0.309 0.143 0.009
C 0.309 0.857 0.509
C 0.691 0.143 0.491
C 0.691 0.857 0.991
C 0.800 0.397 0.880
C 0.800 0.603 0.380
O 0.090 0.315 0.505
O 0.090 0.685 0.005
O 0.185 0.042 0.972
O 0.185 0.958 0.472
O 0.316 0.237 0.158
O 0.316 0.763 0.658
O 0.356 0.439 0.582
O 0.356 0.561 0.082
O 0.644 0.439 0.918
O 0.644 0.561 0.418
O 0.684 0.237 0.342
O 0.684 0.763 0.842
O 0.815 0.042 0.528
O 0.815 0.958 0.028
O 0.910 0.315 0.995
O 0.910 0.685 0.495

## Properties
DFT formation energy   -139.25 kJ per mole of atoms
SG   P2/c
Calculated volume   11.76 Å³ per atom

Material: Ca2CuC2O2
Method: DFT, PBE
State: optimized geometry

abc: 3.804 3.804 6.860
angles: 90.00 90.00 90.00
Sites, in units of the cell vectors:
Ca 0.000 0.000 0.226
Ca 0.000 0.000 0.774
Cu 0.500 0.500 0.000
C 0.500 0.500 0.408
C 0.500 0.500 0.592
O 0.000 0.500 0.000
O 0.500 0.000 0.000

## Properties
DFT formation energy   -106.67 kJ per mole of atoms
SG   P4/mmm
Calculated volume   14.18 Å³ per atom

Material: Ca2CuCO5
Method: DFT, PBE
State: optimized geometry

abc: 3.611 7.222 4.311
angles: 90.00 90.00 90.00
Sites, in units of the cell vectors:
Ca 0.000 0.218 0.000
Ca 0.000 0.782 0.000
Cu 0.500 0.000 0.501
C 0.500 0.500 0.517
O 0.000 0.000 0.508
O 0.500 0.000 0.016
O 0.500 0.343 0.664
O 0.500 0.500 0.217
O 0.500 0.657 0.664

## Properties
DFT formation energy   -221.19 kJ per mole of atoms
SG   Pmm2
Calculated volume   12.49 Å³ per atom

Material: NaCa3UH16C3SO25F
Method: DFT, PBE
State: optimized geometry

abc: 9.643 9.648 14.262
angles: 87.92 86.48 60.23
Sites, in units of the cell vectors:
Na 0.019 0.000 0.287
Na 0.981 0.000 0.713
Ca 0.145 0.573 0.227
Ca 0.338 0.112 0.231
Ca 0.397 0.693 0.781
Ca 0.603 0.307 0.219
Ca 0.662 0.888 0.769
Ca 0.855 0.427 0.773
U 0.300 0.336 0.818
U 0.700 0.664 0.182
H 0.014 0.374 0.413
H 0.057 0.703 0.433
H 0.074 0.706 0.032
H 0.102 0.193 0.613
H 0.164 0.509 0.548
H 0.178 0.699 0.616
H 0.197 0.522 0.016
H 0.250 0.050 0.433
H 0.285 0.761 0.572
H 0.308 0.888 0.388
H 0.317 0.669 0.996
H 0.321 0.167 0.545
H 0.369 0.995 0.587
H 0.378 0.623 0.413
H 0.471 0.691 0.981
H 0.492 0.678 0.455
H 0.508 0.322 0.545
H 0.529 0.309 0.019
H 0.622 0.377 0.587
H 0.631 0.005 0.413
H 0.679 0.833 0.455
H 0.683 0.331 0.004
H 0.692 0.112 0.612
H 0.715 0.239 0.428
H 0.750 0.950 0.567
H 0.803 0.478 0.984
H 0.822 0.301 0.384
H 0.836 0.491 0.452
H 0.898 0.807 0.387
H 0.926 0.294 0.968
H 0.943 0.297 0.567
H 0.986 0.626 0.587
C 0.042 0.663 0.809
C 0.233 0.078 0.806
C 0.370 0.736 0.198
C 0.630 0.264 0.802
C 0.767 0.922 0.194
C 0.958 0.337 0.191
S 0.346 0.331 0.389
S 0.654 0.669 0.611
O 0.015 0.746 0.371
O 0.018 0.540 0.813
O 0.029 0.042 0.009
O 0.069 0.194 0.199
O 0.082 0.623 0.556
O 0.121 0.228 0.816
O 0.173 0.616 0.053
O 0.192 0.624 0.815
O 0.195 0.351 0.352
O 0.202 0.968 0.792
O 0.228 0.767 0.217
O 0.235 0.757 0.634
O 0.256 0.005 0.372
O 0.285 0.088 0.554
O 0.287 0.343 0.949
O 0.311 0.336 0.691
O 0.338 0.332 0.493
O 0.356 0.072 0.049
O 0.370 0.465 0.350
O 0.378 0.711 0.446
O 0.379 0.054 0.810
O 0.381 0.696 0.950
O 0.411 0.847 0.187
O 0.482 0.177 0.352
O 0.492 0.590 0.189
O 0.508 0.410 0.811
O 0.518 0.823 0.648
O 0.589 0.153 0.813
O 0.619 0.304 0.050
O 0.621 0.946 0.190
O 0.622 0.289 0.554
O 0.630 0.535 0.650
O 0.644 0.928 0.951
O 0.662 0.668 0.507
O 0.689 0.664 0.309
O 0.713 0.657 0.051
O 0.715 0.912 0.446
O 0.744 0.995 0.628
O 0.765 0.243 0.366
O 0.772 0.233 0.783
O 0.798 0.032 0.208
O 0.805 0.649 0.648
O 0.808 0.376 0.185
O 0.827 0.384 0.947
O 0.879 0.772 0.184
O 0.918 0.377 0.444
O 0.931 0.806 0.801
O 0.971 0.958 0.991
O 0.982 0.460 0.187
O 0.985 0.254 0.629
F 0.361 0.329 0.178
F 0.639 0.671 0.822

## Properties
DFT formation energy   -184.73 kJ per mole of atoms
SG   P-1
Calculated volume   11.27 Å³ per atom

Material: RbCaCO3F
Method: DFT, PBE
State: optimized geometry

abc: 9.278 9.278 4.496
angles: 90.00 90.00 120.00
Sites, in units of the cell vectors:
Rb 0.000 0.724 0.000
Rb 0.276 0.276 0.000
Rb 0.724 0.000 0.000
Ca 0.000 0.391 0.500
Ca 0.391 0.000 0.500
Ca 0.609 0.609 0.500
C 0.000 0.000 0.500
C 0.333 0.667 0.500
C 0.667 0.333 0.500
O 0.000 0.140 0.500
O 0.140 0.000 0.500
O 0.207 0.692 0.500
O 0.308 0.515 0.500
O 0.485 0.793 0.500
O 0.515 0.308 0.500
O 0.692 0.207 0.500
O 0.793 0.485 0.500
O 0.860 0.860 0.500
F 0.000 0.387 0.000
F 0.387 0.000 0.000
F 0.613 0.613 0.000

## Properties
DFT formation energy   -269.48 kJ per mole of atoms
SG   P-62m
Calculated volume   15.96 Å³ per atom

Material: CaMg5P3HCO16
Method: DFT, PBE
State: optimized geometry

abc: 6.386 8.774 10.933
angles: 94.93 100.99 93.16
Sites, in units of the cell vectors:
Ca 0.122 0.318 0.062
Ca 0.878 0.682 0.938
Mg 0.091 0.819 0.670
Mg 0.311 0.036 0.900
Mg 0.325 0.864 0.452
Mg 0.326 0.527 0.614
Mg 0.413 0.648 0.183
Mg 0.587 0.352 0.817
Mg 0.674 0.473 0.386
Mg 0.675 0.136 0.548
Mg 0.689 0.964 0.100
Mg 0.909 0.181 0.330
P 0.200 0.967 0.170
P 0.215 0.157 0.609
P 0.369 0.669 0.925
P 0.631 0.331 0.075
P 0.785 0.843 0.391
P 0.800 0.033 0.830
H 0.491 0.212 0.336
H 0.509 0.788 0.664
C 0.153 0.482 0.336
C 0.847 0.518 0.664
O 0.009 0.111 0.912
O 0.012 0.824 0.467
O 0.020 0.582 0.638
O 0.157 0.519 0.225
O 0.162 0.123 0.239
O 0.207 0.047 0.711
O 0.219 0.579 0.996
O 0.239 0.796 0.863
O 0.296 0.850 0.262
O 0.324 0.507 0.422
O 0.325 0.315 0.671
O 0.349 0.090 0.516
O 0.367 0.003 0.088
O 0.369 0.755 0.612
O 0.439 0.267 0.965
O 0.463 0.572 0.828
O 0.537 0.428 0.172
O 0.561 0.733 0.035
O 0.631 0.245 0.388
O 0.633 0.997 0.912
O 0.651 0.910 0.484
O 0.675 0.685 0.329
O 0.676 0.493 0.578
O 0.704 0.150 0.738
O 0.761 0.204 0.137
O 0.781 0.421 0.004
O 0.793 0.953 0.289
O 0.838 0.877 0.761
O 0.843 0.481 0.775
O 0.980 0.418 0.362
O 0.988 0.176 0.533
O 0.991 0.889 0.088

## Properties
DFT formation energy   -279.48 kJ per mole of atoms
SG   P-1
Calculated volume   11.06 Å³ per atom